# TmB2C2 (r2SCAN, optimized geometry)
data_TmB2C2
_symmetry_space_group_name_H-M 'P 4/m b m'
_symmetry_Int_Tables_number 127
_symmetry_space_group_name_Hall '-P 4 2ab'
_cell_length_a 5.309
_cell_length_b 5.309
_cell_length_c 3.478
_cell_angle_alpha 90.00
_cell_angle_beta 90.00
_cell_angle_gamma 90.00
loop_
_atom_site_label
_atom_site_type_symbol
_atom_site_fract_x
_atom_site_fract_y
_atom_site_fract_z
Tm1 Tm 0.000 0.000 0.000
B1 B 0.136 0.364 0.500
C1 C 0.163 0.663 0.500
# **E**: -1.0640 Ry per atom

***

# SmCd2 (r2SCAN, optimized geometry)
data_SmCd2
_symmetry_space_group_name_H-M 'P 6/m m m'
_symmetry_Int_Tables_number 191
_symmetry_space_group_name_Hall '-P 6 2'
_cell_length_a 4.9974
_cell_length_b 4.9974
_cell_length_c 3.4715
_cell_angle_alpha 90.00
_cell_angle_beta 90.00
_cell_angle_gamma 120.00
loop_
_atom_site_label
_atom_site_type_symbol
_atom_site_fract_x
_atom_site_fract_y
_atom_site_fract_z
Sm1 Sm 0.0000 0.0000 0.0000
Cd1 Cd 0.3333 0.6667 0.5000
# **E**: -1.7423 Ry per atom

***

# NdTh (r2SCAN, optimized geometry)
data_NdTh
_symmetry_space_group_name_H-M 'R -3 m'
_symmetry_Int_Tables_number 166
_symmetry_space_group_name_Hall '-R 3 2"'
_cell_length_a 3.6183
_cell_length_b 3.6183
_cell_length_c 17.6444
_cell_angle_alpha 90.00
_cell_angle_beta 90.00
_cell_angle_gamma 120.00
loop_
_atom_site_label
_atom_site_type_symbol
_atom_site_fract_x
_atom_site_fract_y
_atom_site_fract_z
Nd1 Nd 0.0000 0.0000 0.0000
Th1 Th 0.0000 0.0000 0.5000
# **E**: -3.7777 Ry per atom

***

# Be4AlCr (r2SCAN, optimized geometry)
data_Be4AlCr
_symmetry_space_group_name_H-M 'P -3 m 1'
_symmetry_Int_Tables_number 164
_symmetry_space_group_name_Hall '-P 3 2"'
_cell_length_a 4.3067
_cell_length_b 4.3067
_cell_length_c 7.0173
_cell_angle_alpha 90.00
_cell_angle_beta 90.00
_cell_angle_gamma 120.00
loop_
_atom_site_label
_atom_site_type_symbol
_atom_site_fract_x
_atom_site_fract_y
_atom_site_fract_z
Be1 Be 0.0000 0.0000 0.0000
Be2 Be 0.0000 0.0000 0.5000
Be3 Be 0.1685 0.3371 0.2594
Al1 Al 0.3333 0.6667 0.9221
Cr1 Cr 0.3333 0.6667 0.5524
# **E**: -0.4864 Ry per atom

***

# Sc2GeO5 (r2SCAN, optimized geometry)
data_Sc2GeO5
_symmetry_space_group_name_H-M 'C 1 2/c 1'
_symmetry_Int_Tables_number 15
_cell_length_a 10.946
_cell_length_b 10.512
_cell_length_c 10.674
_cell_angle_alpha 90.00
_cell_angle_beta 93.50
_cell_angle_gamma 90.00
loop_
_symmetry_equiv_pos_as_xyz
'x,y,z'
'-x,-y,-z'
'-x,y,-z+1/2'
'x,-y,z+1/2'
'x+1/2,y+1/2,z'
'-x+1/2,-y+1/2,-z'
'-x+1/2,y+1/2,-z+1/2'
'x+1/2,-y+1/2,z+1/2'
loop_
_atom_site_label
_atom_site_type_symbol
_atom_site_fract_x
_atom_site_fract_y
_atom_site_fract_z
Sc1 Sc 0.011 0.140 0.430
Sc2 Sc 0.155 0.351 0.938
Sc3 Sc 0.177 0.315 0.246
Ge1 Ge 0.000 0.144 0.750
Ge2 Ge 0.167 0.394 0.544
O1 O 0.000 0.237 0.250
O2 O 0.013 0.048 0.615
O3 O 0.032 0.307 0.547
O4 O 0.137 0.231 0.780
O5 O 0.154 0.456 0.114
O6 O 0.166 0.202 0.075
O7 O 0.176 0.453 0.388
O8 O 0.197 0.178 0.396
# **E**: -0.8406 Ry per atom

***

# TbHSe (r2SCAN, optimized geometry)
data_TbHSe
_symmetry_space_group_name_H-M 'P -6 m 2'
_symmetry_Int_Tables_number 187
_symmetry_space_group_name_Hall 'P -6 2'
_cell_length_a 3.8510
_cell_length_b 3.8510
_cell_length_c 3.9204
_cell_angle_alpha 90.00
_cell_angle_beta 90.00
_cell_angle_gamma 120.00
loop_
_atom_site_label
_atom_site_type_symbol
_atom_site_fract_x
_atom_site_fract_y
_atom_site_fract_z
Tb1 Tb 0.0000 0.0000 0.0000
H1 H 0.3333 0.6667 0.0000
Se1 Se 0.6667 0.3333 0.5000
# **E**: -1.3239 Ry per atom

***

# LiPmHg2 (r2SCAN, optimized geometry)
data_LiPmHg2
_symmetry_space_group_name_H-M 'F m -3 m'
_symmetry_Int_Tables_number 225
_symmetry_space_group_name_Hall '-F 4 2 3'
_cell_length_a 7.184
_cell_length_b 7.184
_cell_length_c 7.184
_cell_angle_alpha 90.00
_cell_angle_beta 90.00
_cell_angle_gamma 90.00
loop_
_atom_site_label
_atom_site_type_symbol
_atom_site_fract_x
_atom_site_fract_y
_atom_site_fract_z
Li1 Li 0.000 0.000 0.000
Pm1 Pm 0.000 0.000 0.500
Hg1 Hg 0.250 0.250 0.250
# **E**: -2.4393 Ry per atom

***

# Cs2RbFeC6N6 (r2SCAN, optimized geometry)
data_Cs2RbFeC6N6
_symmetry_space_group_name_H-M 'P 1 21/c 1'
_symmetry_Int_Tables_number 14
_cell_length_a 7.801
_cell_length_b 8.250
_cell_length_c 13.552
_cell_angle_alpha 90.00
_cell_angle_beta 124.11
_cell_angle_gamma 90.00
loop_
_symmetry_equiv_pos_as_xyz
'x,y,z'
'-x,-y,-z'
'-x,y+1/2,-z+1/2'
'x,-y+1/2,z+1/2'
loop_
_atom_site_label
_atom_site_type_symbol
_atom_site_fract_x
_atom_site_fract_y
_atom_site_fract_z
Cs1 Cs 0.221 0.078 0.245
Rb1 Rb 0.000 0.000 0.500
Fe1 Fe 0.500 0.000 0.000
C1 C 0.263 0.118 0.967
C2 C 0.333 0.692 0.451
C3 C 0.422 0.025 0.840
N1 N 0.115 0.188 0.945
N2 N 0.230 0.691 0.920
N3 N 0.376 0.045 0.742
# **E**: -0.9011 Ry per atom